An optimized crystal structure of Li4Ti3Fe3Sn2O16. Source: the Materials Project database, functional PBE with a Hubbard U.

Properties
- Symmetry: Cm, No. 8

The structure in POSCAR format:
```
Li4Ti3Fe3Sn2O16
1.0
1.491 -5.695 -1.327
2.897 -3.415 4.044
-8.568 -3.199 3.601
O Fe Li Sn Ti
16 3 4 2 3
Cartesian
0.051 -2.341 2.456 O
-1.205 -7.177 1.637 O
-4.824 -8.787 4.993 O
-5.496 -6.188 5.769 O
-0.481 -6.005 4.400 O
-1.634 -0.664 0.710 O
-0.567 -3.345 0.093 O
-6.949 -4.392 3.684 O
-6.211 -7.347 3.041 O
0.717 -4.908 1.895 O
-3.433 -6.838 3.801 O
-1.950 -4.218 2.301 O
-2.099 -8.243 5.584 O
-2.742 -9.287 3.124 O
-5.897 -2.322 2.529 O
0.244 -8.948 3.734 O
-3.107 -10.067 5.087 Fe
-0.979 -5.264 0.845 Fe
-0.289 -4.145 3.481 Fe
4.325 -9.131 2.743 Li
-4.346 -1.637 1.833 Li
2.016 -6.377 2.179 Li
-3.717 -4.937 3.069 Li
-1.411 -7.714 3.644 Sn
1.411 -3.130 0.959 Sn
-3.806 -7.299 5.745 Ti
-1.673 -2.458 1.481 Ti
-4.498 -8.421 3.102 Ti
```


An optimized crystal structure of Li4Ti2Fe3Sn3O16. Source: the Materials Project database, functional PBE with a Hubbard U.

Properties
- Symmetry: P1, No. 1
- Polymorph energy (0 for the lowest one): 0 meV per atom

The structure in POSCAR format:
```
Li4Ti2Fe3Sn3O16
1.0
6.131 0.000 0.000
3.059 5.324 0.000
0.044 0.046 9.710
Fe Li O Sn Ti
3 4 16 3 2
Cartesian
6.163 1.835 2.761 Fe
4.581 0.961 7.597 Fe
7.650 4.423 2.815 Fe
6.074 0.052 4.846 Li
6.140 3.579 5.838 Li
3.126 1.727 1.030 Li
6.038 0.066 0.117 Li
4.824 2.745 1.501 O
6.145 0.047 1.919 O
6.101 0.067 6.659 O
4.548 4.509 8.785 O
1.703 2.621 6.401 O
4.577 1.012 3.976 O
1.586 0.924 3.948 O
6.130 1.829 8.769 O
7.467 2.691 1.393 O
7.674 4.479 8.799 O
3.135 1.793 8.745 O
4.427 2.572 6.370 O
3.154 3.510 4.003 O
6.166 3.507 3.849 O
6.096 5.077 1.391 O
3.099 0.265 6.375 O
4.660 4.430 2.778 Sn
3.091 3.561 7.637 Sn
1.579 0.945 7.642 Sn
3.173 1.786 4.842 Ti
6.296 3.492 0.218 Ti
```


An optimized crystal structure of Li4Ti3Fe2Sn3O16. Source: the Materials Project database, functional PBE with a Hubbard U.

Properties
- Symmetry: P1, No. 1

The structure in POSCAR format:
```
Li4Ti3Fe2Sn3O16
1.0
-3.058 5.298 -0.013
0.085 0.002 19.903
3.086 5.313 0.015
O Li Ti Fe Sn
32 8 6 4 6
Cartesian
1.613 6.073 1.072 O
3.110 5.288 18.079 O
-1.249 7.936 18.189 O
0.138 5.133 13.252 O
-0.041 8.907 1.049 O
-1.628 6.107 0.961 O
-1.286 7.931 8.242 O
0.120 5.492 8.250 O
-1.569 6.125 10.908 O
0.087 5.148 3.281 O
0.128 3.575 10.935 O
0.027 1.659 15.970 O
0.146 7.128 6.007 O
3.041 5.272 3.195 O
1.420 2.799 3.331 O
3.077 5.282 8.125 O
1.679 4.484 6.109 O
-1.601 4.429 5.996 O
1.410 7.866 8.224 O
-0.014 1.644 6.022 O
0.007 8.941 11.007 O
1.654 6.087 11.018 O
1.719 4.493 16.055 O
-1.370 2.731 3.335 O
0.086 3.565 0.987 O
1.487 2.808 13.255 O
0.178 7.121 15.960 O
3.093 5.290 13.147 O
-1.326 2.736 13.286 O
1.477 7.877 18.143 O
-1.572 4.432 15.963 O
0.161 5.525 18.238 O
3.051 5.271 5.002 Li
0.110 3.560 18.773 Li
3.073 5.243 19.882 Li
0.049 7.096 3.901 Li
0.065 3.555 8.825 Li
3.033 5.253 9.929 Li
0.094 7.087 13.858 Li
3.096 5.275 14.956 Li
0.050 8.819 7.133 Ti
0.096 8.825 17.089 Ti
1.579 4.418 12.118 Ti
1.571 6.205 7.126 Ti
1.611 6.216 17.073 Ti
1.510 4.439 2.188 Ti
0.036 3.549 4.947 Fe
0.082 7.082 9.874 Fe
0.085 3.543 14.894 Fe
0.126 7.117 19.830 Fe
-1.451 4.406 12.081 Sn
-1.415 6.202 17.052 Sn
-1.507 4.390 2.115 Sn
-1.454 6.200 7.094 Sn
0.025 1.788 2.136 Sn
0.063 1.794 12.088 Sn
```


An optimized crystal structure of Li4V3Fe2Sn3O16. Source: the Materials Project database, functional PBE with a Hubbard U.

Properties
- Symmetry: P1, No. 1

The structure in POSCAR format:
```
Li4V3Fe2Sn3O16
1.0
6.111 0.000 0.000
3.041 5.327 0.000
0.056 0.040 9.705
Fe O Li V Sn
2 16 4 3 3
Cartesian
6.151 3.514 4.913 Fe
3.044 1.757 0.099 Fe
4.408 2.497 1.535 O
4.666 0.934 8.746 O
3.091 3.642 8.814 O
6.190 1.746 3.809 O
0.069 0.044 1.857 O
7.480 2.769 6.393 O
2.993 1.774 3.875 O
1.689 2.502 1.543 O
4.808 2.763 6.386 O
6.145 3.594 8.768 O
6.142 5.164 6.346 O
1.536 0.942 8.732 O
4.600 4.511 3.887 O
0.044 0.036 6.638 O
7.654 4.510 3.887 O
2.967 0.217 1.628 O
6.150 0.088 4.854 Li
6.112 0.102 0.080 Li
3.079 1.796 5.868 Li
6.096 3.488 1.066 Li
6.151 1.835 7.637 V
1.618 0.876 2.758 V
4.574 0.919 2.808 V
3.057 3.531 2.772 Sn
7.647 4.456 7.622 Sn
4.640 4.454 7.619 Sn
```


An optimized crystal structure of Li4Fe3TeO8. Source: the Materials Project database, functional PBE with a Hubbard U.

Properties
- Symmetry: P1, No. 1
- Polymorph energy (0 for the lowest one): 43 meV per atom

The structure in POSCAR format:
```
Li4Fe3TeO8
1.0
4.992 0.000 0.000
-0.070 5.994 0.000
-0.056 -0.323 6.641
Li O Te Fe
4 8 1 3
Cartesian
4.827 2.993 5.869 Li
2.429 5.343 2.477 Li
4.818 0.370 4.020 Li
2.496 2.463 0.900 Li
4.411 5.234 2.457 O
1.889 3.385 2.632 O
4.396 2.368 4.028 O
3.977 5.292 5.781 O
1.998 0.426 0.825 O
1.989 0.503 4.085 O
4.490 2.466 0.916 O
2.023 3.062 5.825 O
2.055 5.196 5.730 Te
4.809 0.515 0.986 Fe
-0.048 3.421 2.486 Fe
2.483 2.332 4.110 Fe
```


An optimized crystal structure of Li2FeTeO6. Source: the Materials Project database, functional PBE with a Hubbard U.

The structure in POSCAR format:
```
Li2FeTeO6
1.0
-2.833 0.025 4.574
3.518 6.096 2.771
-7.084 5.856 -4.389
Te O Li Fe
4 24 8 4
Cartesian
-1.076 3.062 5.945 Te
-3.209 10.492 1.753 Te
-4.618 5.991 3.750 Te
0.333 7.564 3.947 Te
-3.508 6.165 0.133 O
-0.119 5.721 3.687 O
-4.939 4.283 -1.751 O
-1.921 3.707 4.327 O
-5.966 4.021 0.781 O
-6.369 6.251 -0.511 O
-2.827 3.322 1.684 O
-5.777 7.053 -3.280 O
-2.235 4.125 -1.086 O
-4.568 8.508 -1.218 O
-0.514 8.202 2.329 O
-6.365 8.812 0.827 O
-4.934 10.688 2.708 O
2.121 4.891 1.881 O
-2.824 5.884 3.020 O
-1.393 7.759 4.901 O
-3.660 8.649 1.493 O
-1.397 1.355 0.442 O
-1.422 7.820 -0.314 O
0.034 3.238 2.328 O
-1.026 5.580 0.976 O
-2.424 1.091 2.975 O
-5.464 6.634 2.132 O
-4.056 11.131 0.134 O
-1.887 5.796 5.035 Li
-5.430 8.727 2.841 Li
-5.758 10.223 -0.453 Li
-2.216 7.295 1.742 Li
-7.169 5.724 1.551 Li
-3.627 2.799 3.746 Li
-0.459 1.274 2.452 Li
-4.000 4.202 0.257 Li
-2.848 9.016 5.122 Fe
-6.390 11.943 2.926 Fe
-1.426 4.493 2.542 Fe
-4.969 7.420 0.348 Fe
```


An optimized crystal structure of Li2Fe3TeO8. Source: the Materials Project database, functional PBE with a Hubbard U.

Properties
- Polymorph energy (0 for the lowest one): 1 meV per atom

The structure in POSCAR format:
```
Li2Fe3TeO8
1.0
-3.017 1.732 4.932
6.279 7.250 4.969
-2.973 5.297 -0.008
Te O Fe Li
2 16 6 4
Cartesian
0.216 10.709 7.420 Te
0.073 3.570 2.473 Te
0.009 1.986 1.327 O
-1.453 8.122 3.615 O
0.135 5.154 3.620 O
1.801 8.173 3.564 O
-2.657 9.085 6.229 O
-1.360 2.766 3.550 O
-1.512 6.106 6.329 O
1.649 11.513 6.344 O
3.477 9.195 6.251 O
0.154 9.126 6.274 O
2.946 5.195 3.665 O
0.280 12.293 8.567 O
-1.375 4.314 1.324 O
1.742 6.157 6.279 O
-3.189 5.084 3.642 O
1.664 9.965 8.570 O
-4.481 6.162 2.459 Fe
3.284 10.764 7.432 Fe
1.631 4.491 4.950 Fe
-1.364 8.006 7.413 Fe
0.123 5.357 7.416 Fe
4.792 9.898 4.966 Fe
-1.572 6.076 4.273 Li
4.562 6.186 4.296 Li
1.861 8.204 5.620 Li
-4.273 8.093 5.598 Li
```


An optimized crystal structure of Li4FeTe3O12. Source: the Materials Project database, functional PBE with a Hubbard U.

Properties
- Symmetry: P2, No. 3
- Polymorph energy (0 for the lowest one): 0 meV per atom

The structure in POSCAR format:
```
Li4FeTe3O12
1.0
8.638 0.000 0.000
0.000 5.048 0.000
0.000 0.094 5.227
O Li Te Fe
12 4 3 1
Cartesian
2.042 3.927 3.480 O
4.942 1.509 1.686 O
3.658 1.561 4.380 O
6.424 3.726 0.809 O
6.424 1.416 4.418 O
2.042 1.215 1.747 O
0.682 4.060 0.994 O
4.942 3.634 3.541 O
3.658 3.582 0.847 O
0.682 1.083 4.233 O
7.881 4.096 3.512 O
7.881 1.047 1.715 O
7.100 2.571 2.613 Li
2.484 0.000 0.000 Li
6.053 0.047 2.613 Li
1.309 2.524 0.000 Li
3.396 2.571 2.613 Te
5.174 2.524 0.000 Te
0.646 0.047 2.613 Te
7.744 0.000 0.000 Fe
```


An optimized crystal structure of Li4Fe3TeO8. Source: the Materials Project database, functional PBE with a Hubbard U.

Properties
- Symmetry: P1, No. 1
- Polymorph energy (0 for the lowest one): 772 meV per atom

The structure in POSCAR format:
```
Li4Fe3TeO8
1.0
5.995 0.000 0.000
-0.322 6.641 0.000
-0.058 -0.045 4.991
Li O Fe Te
4 8 3 1
Cartesian
4.948 6.514 2.730 Li
2.021 3.303 4.549 Li
0.625 3.350 2.087 Li
3.310 6.460 0.471 Li
4.900 5.401 4.641 O
0.510 6.004 2.091 O
3.323 5.915 2.135 O
1.876 5.939 4.458 O
0.610 2.671 0.388 O
3.550 2.698 0.584 O
2.215 2.571 2.926 O
5.090 2.784 2.786 O
3.521 3.370 2.109 Fe
0.573 6.413 0.469 Fe
2.208 -0.008 2.949 Fe
4.980 2.843 4.559 Te
```


An optimized crystal structure of Li2Fe3TeO8. Source: the Materials Project database, functional PBE with a Hubbard U.

Properties
- Symmetry: P6_3mc, No. 186
- Polymorph energy (0 for the lowest one): 15 meV per atom

The structure in POSCAR format:
```
Li2Fe3TeO8
1.0
1.149 4.310 -4.055
-2.198 1.468 5.418
9.207 0.844 3.507
Te O Fe Li
2 16 6 4
Cartesian
9.101 4.194 2.556 Te
3.382 2.824 3.960 Te
8.298 2.998 1.058 O
2.081 1.206 3.871 O
0.893 1.735 -0.108 O
5.643 3.877 1.239 O
3.832 2.436 5.951 O
4.948 1.691 3.199 O
7.830 5.576 1.666 O
0.361 4.669 0.584 O
2.793 0.256 1.064 O
7.397 0.678 2.817 O
2.593 3.129 2.061 O
-0.077 2.507 2.643 O
4.415 4.625 3.891 O
7.317 3.653 3.475 O
1.477 3.924 -2.167 O
1.613 3.784 4.479 O
7.147 4.431 0.048 Fe
0.329 2.129 4.561 Fe
6.582 2.309 2.044 Fe
0.895 4.250 2.565 Fe
6.065 5.153 2.715 Fe
1.411 1.406 1.894 Fe
4.493 0.412 1.711 Li
7.282 3.182 5.445 Li
9.096 0.834 3.464 Li
3.794 3.707 0.535 Li
```


An optimized crystal structure of Li2Fe3TeO8. Source: the Materials Project database, functional PBE with a Hubbard U.

Properties
- Symmetry: P-1, No. 2
- Polymorph energy (0 for the lowest one): 0 meV per atom

The structure in POSCAR format:
```
Li2Fe3TeO8
1.0
-0.001 -3.508 4.968
6.134 0.081 0.056
0.138 7.095 5.024
Li O Te Fe
4 16 2 6
Cartesian
4.849 2.862 5.751 Li
4.559 6.148 4.354 Li
1.418 0.804 4.298 Li
1.716 -2.478 5.694 Li
4.508 -2.455 3.698 O
2.947 1.708 8.598 O
3.134 3.739 6.465 O
1.757 4.506 8.629 O
1.635 -0.950 1.445 O
5.937 -0.105 3.724 O
1.501 2.784 3.578 O
4.632 6.136 6.464 O
0.138 1.681 8.551 O
1.515 0.914 6.387 O
4.761 0.861 6.350 O
4.776 2.874 3.640 O
3.333 -1.489 6.324 O
0.325 3.712 6.418 O
3.128 -0.157 3.705 O
6.141 -1.437 6.343 O
0.073 0.056 7.451 Te
3.062 -1.731 2.541 Te
1.637 4.464 5.024 Fe
4.635 0.958 2.540 Fe
3.143 3.581 2.556 Fe
6.267 5.428 7.547 Fe
4.635 -0.798 5.024 Fe
1.636 2.710 7.508 Fe
```


An optimized crystal structure of Li4Fe3TeO8. Source: the Materials Project database, functional PBE with a Hubbard U.

Properties
- Symmetry: C2/m, No. 12
- Polymorph energy (0 for the lowest one): 102 meV per atom

The structure in POSCAR format:
```
Li4Fe3TeO8
1.0
-0.671 -5.731 2.010
3.905 -4.336 -1.814
4.060 -2.245 4.040
Fe O Li Te
3 8 4 1
Cartesian
3.982 -3.290 1.113 Fe
1.617 -5.034 0.098 Fe
1.694 -3.988 3.025 Fe
1.495 -5.854 2.095 O
3.773 -5.159 0.192 O
3.521 -7.152 4.045 O
3.799 -4.166 3.026 O
1.929 -3.144 1.162 O
5.798 -6.458 2.142 O
3.495 -8.146 1.210 O
5.365 -9.168 3.075 O
-0.336 -2.866 1.005 Li
3.647 -6.156 2.118 Li
2.030 -1.122 2.020 Li
1.952 -2.168 -0.907 Li
0.000 0.000 0.000 Te
```


Q: Which energy relative to the elements values were calculated for the entries above? A: -2.499; -2.313; -2.482; -2.185; -1.815; -1.705; -1.807; -1.804; -1.086; -1.793; -1.808; -1.755, in eV per atom.